Compound: MnCoAs
Source: the Materials Project
Functional: PBE
Structure: relaxed

E_form: -0.84 eV/f.u.
total energy: -87.061 eV for the cell shown
symmetry: Pnma, No. 62

Unit cell a=3.623 b=6.135 c=6.961 alpha=90.00 beta=90.00 gamma=90.00
Atoms (fractional coordinates):
Mn  0.750  0.470  0.172
Mn  0.750  0.970  0.328
Mn  0.250  0.530  0.828
Mn  0.250  0.030  0.672
Co  0.750  0.359  0.564
Co  0.750  0.859  0.936
Co  0.250  0.641  0.436
Co  0.250  0.141  0.064
As  0.750  0.238  0.875
As  0.750  0.738  0.625
As  0.250  0.762  0.125
As  0.250  0.262  0.375